1.
The following is a DFT calculation (PBE with a Hubbard U) of an optimized crystal structure of Ba2DyMoO6.

Calculated values
Mass density = 6.791 g/cm³
Volume = 15.4 Å³ per atom
ΔE_f = -3.0377 eV per atom
E = -7.20 eV per atom
Crystal system = cubic

Lattice parameters (Å, degrees): 8.5052 8.5052 8.5052 90.00 90.00 90.00
Space group Fm-3m (No. 225)
One atom of each set of equivalent atoms:
Ba1 0.2500 0.2500 0.2500 (multiplicity 8)
Dy1 0.0000 0.0000 0.0000 (multiplicity 4)
Mo1 0.0000 0.0000 0.5000 (multiplicity 4)
O1 0.0000 0.0000 0.2641 (multiplicity 24)

=====

2.
The following is a DFT calculation (PBE with a Hubbard U) of an optimized crystal structure of Li5Co5Ni2O12.

Calculated values
Mass density = 5.116 g/cm³
Volume = 8.6 Å³ per atom
ΔE_f = -1.5560 eV per atom
Distance to the lowest polymorph of the same formula = 0.0 meV/atom
E = -5.49 eV per atom
Crystal system = monoclinic

Lattice parameters (Å, degrees): 5.0484 8.7013 9.5689 90.00 99.40 90.00
Space group C2 (No. 5)
One atom of each set of equivalent atoms:
Li1 0.0000 0.0000 0.0000 (multiplicity 2)
Li2 0.2391 0.1700 0.2477 (multiplicity 4)
Li3 0.2473 0.5062 0.2491 (multiplicity 4)
Co1 0.0000 0.1740 0.5000 (multiplicity 2)
Co2 0.0000 0.5082 0.5000 (multiplicity 2)
Co3 0.0000 0.6620 0.0000 (multiplicity 2)
Co4 0.2346 0.8442 0.2427 (multiplicity 4)
Ni1 0.0000 0.3301 0.0000 (multiplicity 2)
Ni2 0.0000 0.8396 0.5000 (multiplicity 2)
O1 0.1045 0.3412 0.3859 (multiplicity 4)
O2 0.1078 0.8174 0.8763 (multiplicity 4)
O3 0.1125 0.4898 0.8842 (multiplicity 4)
O4 0.1425 0.0125 0.3874 (multiplicity 4)
O5 0.1441 0.6694 0.3873 (multiplicity 4)
O6 0.1448 0.1765 0.8893 (multiplicity 4)

=====

3.
The following is a DFT calculation (PBE with a Hubbard U) of an optimized crystal structure of LiCo6O2F10.

Calculated values
Mass density = 4.270 g/cm³
Volume = 11.9 Å³ per atom
ΔE_f = -1.9298 eV per atom
Distance to the lowest polymorph of the same formula = 151.3 meV/atom
E = -4.97 eV per atom
Crystal system = triclinic

Lattice parameters (Å, degrees): 4.7624 4.8049 9.9213 87.26 87.50 89.40
Space group P1 (No. 1)
One atom of each set of equivalent atoms:
Li1 0.0000 0.0000 0.0000 (multiplicity 1)
Co1 0.2034 0.1832 0.4948 (multiplicity 1)
Co2 0.2488 0.2264 0.1773 (multiplicity 1)
Co3 0.2610 0.2344 0.8033 (multiplicity 1)
Co4 0.6442 0.6257 0.9660 (multiplicity 1)
Co5 0.7225 0.6995 0.6423 (multiplicity 1)
Co6 0.7457 0.7235 0.3418 (multiplicity 1)
O1 0.5428 0.5202 0.7969 (multiplicity 1)
O2 0.9117 0.8857 0.5064 (multiplicity 1)
F1 0.0267 0.3940 0.6526 (multiplicity 1)
F2 0.0287 0.4013 0.9978 (multiplicity 1)
F3 0.0330 0.4065 0.3307 (multiplicity 1)
F4 0.4185 0.0041 0.6523 (multiplicity 1)
F5 0.4206 0.0095 0.9969 (multiplicity 1)
F6 0.4284 0.0111 0.3312 (multiplicity 1)
F7 0.5189 0.4956 0.4926 (multiplicity 1)
F8 0.5414 0.5216 0.1605 (multiplicity 1)
F9 0.9388 0.9180 0.8303 (multiplicity 1)
F10 0.9480 0.9284 0.1783 (multiplicity 1)

=====

4.
The following is a DFT calculation (PBE with a Hubbard U) of an optimized crystal structure of CsNdMo2O8.

Calculated values
Mass density = 4.625 g/cm³
Volume = 17.9 Å³ per atom
ΔE_f = -2.5302 eV per atom
E = -7.12 eV per atom
Crystal system = orthorhombic

Lattice parameters (Å, degrees): 5.1650 9.7212 8.5385 90.00 90.00 90.00
Space group Pccm (No. 49)
One atom of each set of equivalent atoms:
Cs1 0.0000 0.0000 0.2500 (multiplicity 2)
Nd1 0.0000 0.5000 0.2500 (multiplicity 2)
Mo1 0.4788 0.3010 0.0000 (multiplicity 4)
O1 0.2540 0.4289 0.5000 (multiplicity 4)
O2 0.2655 0.3120 0.1676 (multiplicity 8)
O3 0.3765 0.1382 0.5000 (multiplicity 4)

=====

5.
The following is a DFT calculation (PBE with a Hubbard U) of an optimized crystal structure of MgV5Mo5O25.

Calculated values
Mass density = 4.077 g/cm³
Volume = 13.1 Å³ per atom
ΔE_f = -2.1608 eV per atom
Distance to the lowest polymorph of the same formula = 3.5 meV/atom
E = -7.25 eV per atom
Crystal system = triclinic

Lattice parameters (Å, degrees): 5.5000 6.6336 13.7084 102.21 92.92 103.83
Space group P1 (No. 1)
One atom of each set of equivalent atoms:
Mg1 0.0000 0.0000 0.0000 (multiplicity 1)
V1 0.0446 0.0164 0.7640 (multiplicity 1)
V2 0.2406 0.2157 0.5816 (multiplicity 1)
V3 0.2737 0.4229 0.1572 (multiplicity 1)
V4 0.6475 0.0265 0.3908 (multiplicity 1)
V5 0.6595 0.2231 0.9539 (multiplicity 1)
Mo1 0.0846 0.8591 0.1934 (multiplicity 1)
Mo2 0.4416 0.7994 0.5615 (multiplicity 1)
Mo3 0.4748 0.6462 0.9884 (multiplicity 1)
Mo4 0.8401 0.5856 0.3537 (multiplicity 1)
Mo5 0.8505 0.4340 0.7734 (multiplicity 1)
O1 0.0122 0.5439 0.2378 (multiplicity 1)
O2 0.0965 0.2903 0.7133 (multiplicity 1)
O3 0.1013 0.7029 0.4449 (multiplicity 1)
O4 0.1721 0.1151 0.1466 (multiplicity 1)
O5 0.1949 0.5759 0.9068 (multiplicity 1)
O6 0.2215 0.0644 0.8771 (multiplicity 1)
O7 0.2321 0.9509 0.6420 (multiplicity 1)
O8 0.3155 0.7074 0.1191 (multiplicity 1)
O9 0.3365 0.5247 0.5690 (multiplicity 1)
O10 0.3985 0.9633 0.3007 (multiplicity 1)
O11 0.4493 0.3728 0.0399 (multiplicity 1)
O12 0.4719 0.0744 0.5066 (multiplicity 1)
O13 0.5065 0.4924 0.2524 (multiplicity 1)
O14 0.5968 0.3437 0.6803 (multiplicity 1)
O15 0.6158 0.7497 0.4340 (multiplicity 1)
O16 0.6199 0.9271 0.9553 (multiplicity 1)
O17 0.6672 0.4786 0.8907 (multiplicity 1)
O18 0.7169 0.8850 0.6445 (multiplicity 1)
O19 0.7548 0.3283 0.3787 (multiplicity 1)
O20 0.7928 0.1534 0.8245 (multiplicity 1)
O21 0.8413 0.7619 0.0760 (multiplicity 1)
O22 0.8789 0.8928 0.2977 (multiplicity 1)
O23 0.9312 0.3026 0.0348 (multiplicity 1)
O24 0.9497 0.7069 0.7633 (multiplicity 1)
O25 0.9862 0.1376 0.4968 (multiplicity 1)

=====

6.
The following is a DFT calculation (PBE with a Hubbard U) of an optimized crystal structure of Li3Mn4P8O28.

Calculated values
Mass density = 2.956 g/cm³
Volume = 12.2 Å³ per atom
ΔE_f = -2.1304 eV per atom
Distance to the lowest polymorph of the same formula = 319.6 meV/atom
E = -6.74 eV per atom
Crystal system = monoclinic

Lattice parameters (Å, degrees): 11.2535 9.7609 9.7635 90.00 101.19 90.00
Space group Pc (No. 7)
One atom of each set of equivalent atoms:
Li1 0.0000 0.0341 0.0000 (multiplicity 2)
Li2 0.0897 0.3401 0.0589 (multiplicity 2)
Li3 0.5692 0.3441 0.4829 (multiplicity 2)
Mn1 0.2132 0.1824 0.5883 (multiplicity 2)
Mn2 0.3840 0.4787 0.6774 (multiplicity 2)
Mn3 0.7214 0.0371 0.1403 (multiplicity 2)
Mn4 0.8746 0.3253 0.1910 (multiplicity 2)
P1 0.1243 0.0962 0.2600 (multiplicity 2)
P2 0.3032 0.3183 0.3287 (multiplicity 2)
P3 0.3067 0.3120 0.9239 (multiplicity 2)
P4 0.4270 0.0364 0.0137 (multiplicity 2)
P5 0.6656 0.4635 0.7793 (multiplicity 2)
P6 0.7878 0.1728 0.4644 (multiplicity 2)
P7 0.7923 0.1938 0.8711 (multiplicity 2)
P8 0.9752 0.3896 0.5140 (multiplicity 2)
O1 0.0285 0.1859 0.1648 (multiplicity 2)
O2 0.0835 0.3130 0.6004 (multiplicity 2)
O3 0.1051 0.0837 0.4091 (multiplicity 2)
O4 0.1376 0.0404 0.6888 (multiplicity 2)
O5 0.1758 0.3350 0.9200 (multiplicity 2)
O6 0.2374 0.4266 0.2228 (multiplicity 2)
O7 0.2542 0.1719 0.2673 (multiplicity 2)
O8 0.2751 0.3275 0.4779 (multiplicity 2)
O9 0.3329 0.1601 0.9911 (multiplicity 2)
O10 0.3417 0.3095 0.7758 (multiplicity 2)
O11 0.3626 0.0767 0.5800 (multiplicity 2)
O12 0.3967 0.4092 0.0162 (multiplicity 2)
O13 0.4361 0.3351 0.3253 (multiplicity 2)
O14 0.4565 0.0041 0.3730 (multiplicity 2)
O15 0.5467 0.0878 0.1029 (multiplicity 2)
O16 0.5498 0.4112 0.6760 (multiplicity 2)
O17 0.6432 0.4969 0.4184 (multiplicity 2)
O18 0.6590 0.1782 0.4823 (multiplicity 2)
O19 0.7010 0.0908 0.7877 (multiplicity 2)
O20 0.7280 0.4285 0.2012 (multiplicity 2)
O21 0.7605 0.3382 0.7975 (multiplicity 2)
O22 0.7635 0.2054 0.0257 (multiplicity 2)
O23 0.8123 0.1627 0.3134 (multiplicity 2)
O24 0.8517 0.0530 0.5574 (multiplicity 2)
O25 0.8538 0.3102 0.5295 (multiplicity 2)
O26 0.9229 0.1679 0.8726 (multiplicity 2)
O27 0.9606 0.4666 0.0684 (multiplicity 2)
O28 0.9798 0.3910 0.3564 (multiplicity 2)

=====

7.
The following is a DFT calculation (PBE with a Hubbard U) of an optimized crystal structure of Sc2W5Se3O12.

Calculated values
Mass density = 5.839 g/cm³
Volume = 18.6 Å³ per atom
ΔE_f = -0.8995 eV per atom
Distance to the lowest polymorph of the same formula = 0.0 meV/atom
E = -6.21 eV per atom
Crystal system = triclinic

Lattice parameters (Å, degrees): 7.9580 10.3532 10.8559 77.99 85.95 69.22
Space group P1 (No. 1)
One atom of each set of equivalent atoms:
Sc1 0.0000 0.0000 0.0000 (multiplicity 1)
Sc2 0.0936 0.9890 0.4655 (multiplicity 1)
Sc3 0.3435 0.3558 0.1221 (multiplicity 1)
Sc4 0.7467 0.6611 0.8116 (multiplicity 1)
W1 0.2915 0.6400 0.2288 (multiplicity 1)
W2 0.3552 0.5580 0.5940 (multiplicity 1)
W3 0.4165 0.5547 0.8767 (multiplicity 1)
W4 0.4423 0.8836 0.2968 (multiplicity 1)
W5 0.4772 0.8572 0.0179 (multiplicity 1)
W6 0.5994 0.1670 0.8746 (multiplicity 1)
W7 0.6727 0.4957 0.4050 (multiplicity 1)
W8 0.6916 0.1003 0.5865 (multiplicity 1)
W9 0.6963 0.4644 0.1194 (multiplicity 1)
W10 0.7347 0.4153 0.6926 (multiplicity 1)
Se1 0.0833 0.3348 0.9051 (multiplicity 1)
Se2 0.2453 0.2789 0.4474 (multiplicity 1)
Se3 0.2864 0.9270 0.7425 (multiplicity 1)
Se4 0.7492 0.0979 0.2628 (multiplicity 1)
Se5 0.9690 0.6556 0.0383 (multiplicity 1)
Se6 0.9797 0.6783 0.5288 (multiplicity 1)
O1 0.0883 0.1657 0.9274 (multiplicity 1)
O2 0.0905 0.3597 0.0569 (multiplicity 1)
O3 0.1114 0.9245 0.8407 (multiplicity 1)
O4 0.2156 0.1214 0.5116 (multiplicity 1)
O5 0.2409 0.8553 0.6259 (multiplicity 1)
O6 0.2521 0.5808 0.0577 (multiplicity 1)
O7 0.2697 0.5829 0.4117 (multiplicity 1)
O8 0.2961 0.2541 0.2941 (multiplicity 1)
O9 0.4209 0.9995 0.1320 (multiplicity 1)
O10 0.4349 0.3377 0.9451 (multiplicity 1)
O11 0.4535 0.2569 0.5057 (multiplicity 1)
O12 0.4538 0.7695 0.8392 (multiplicity 1)
O13 0.5496 0.7092 0.3968 (multiplicity 1)
O14 0.6336 0.2686 0.1769 (multiplicity 1)
O15 0.6685 0.0220 0.7684 (multiplicity 1)
O16 0.7002 0.6699 0.0127 (multiplicity 1)
O17 0.7985 0.7327 0.6388 (multiplicity 1)
O18 0.8253 0.1385 0.3949 (multiplicity 1)
O19 0.8394 0.4310 0.8732 (multiplicity 1)
O20 0.8446 0.3549 0.5347 (multiplicity 1)
O21 0.9151 0.8309 0.0397 (multiplicity 1)
O22 0.9464 0.0506 0.1812 (multiplicity 1)
O23 0.9816 0.8476 0.4565 (multiplicity 1)
O24 0.9959 0.6448 0.8806 (multiplicity 1)

=====

8.
The following is a DFT calculation (PBE with a Hubbard U) of an optimized crystal structure of Co2OF3.

Calculated values
Mass density = 4.503 g/cm³
Volume = 11.7 Å³ per atom
ΔE_f = -1.9079 eV per atom
Distance to the lowest polymorph of the same formula = 72.3 meV/atom
E = -5.17 eV per atom
Crystal system = monoclinic

Lattice parameters (Å, degrees): 19.2245 6.1028 4.8045 90.00 92.68 90.00
Space group C2/m (No. 12)
One atom of each set of equivalent atoms:
Co1 0.0000 0.0000 0.0000 (multiplicity 2)
Co2 0.0000 0.5000 0.0000 (multiplicity 2)
Co3 0.1251 0.2432 0.5007 (multiplicity 8)
Co4 0.2400 0.5000 0.9604 (multiplicity 4)
O1 0.0817 0.0000 0.3270 (multiplicity 4)
O2 0.1702 0.5000 0.6806 (multiplicity 4)
F1 0.0492 0.2496 0.8048 (multiplicity 8)
F2 0.0753 0.5000 0.2988 (multiplicity 4)
F3 0.1805 0.0000 0.7171 (multiplicity 4)
F4 0.2020 0.2497 0.1926 (multiplicity 8)

=====

9.
The following is a DFT calculation (PBE with a Hubbard U) of an optimized crystal structure of Li3Mn3CrO8.

Calculated values
Mass density = 4.244 g/cm³
Volume = 9.5 Å³ per atom
ΔE_f = -2.1037 eV per atom
Distance to the lowest polymorph of the same formula = 16.6 meV/atom
E = -6.77 eV per atom
Crystal system = monoclinic

Lattice parameters (Å, degrees): 5.9639 10.0907 9.5088 90.00 90.86 90.00
Space group Cc (No. 9)
One atom of each set of equivalent atoms:
Li1 0.0000 0.0890 0.0000 (multiplicity 4)
Li2 0.0193 0.4089 0.5030 (multiplicity 4)
Li3 0.2679 0.1688 0.5022 (multiplicity 4)
Mn1 0.0113 0.0867 0.7297 (multiplicity 4)
Mn2 0.0171 0.4125 0.2308 (multiplicity 4)
Mn3 0.2648 0.1637 0.2338 (multiplicity 4)
Cr1 0.2609 0.3396 0.9554 (multiplicity 4)
O1 0.0068 0.0665 0.3534 (multiplicity 4)
O2 0.0448 0.2610 0.1028 (multiplicity 4)
O3 0.2392 0.0049 0.1206 (multiplicity 4)
O4 0.2617 0.1650 0.8424 (multiplicity 4)
O5 0.2637 0.4846 0.1081 (multiplicity 4)
O6 0.2917 0.3232 0.3468 (multiplicity 4)
O7 0.4973 0.2672 0.0927 (multiplicity 4)
O8 0.4995 0.0717 0.3529 (multiplicity 4)

=====

10.
The following is a DFT calculation (PBE with a Hubbard U) of an optimized crystal structure of Ba2W2F11.

Calculated values
Mass density = 4.881 g/cm³
Volume = 19.3 Å³ per atom
ΔE_f = -3.1661 eV per atom
E = -5.62 eV per atom
Crystal system = trigonal

Lattice parameters (Å, degrees): 8.5188 8.5188 13.8250 90.00 90.00 120.00
Space group P3_2 (No. 145)
One atom of each set of equivalent atoms:
Ba1 0.1030 0.0701 0.0000 (multiplicity 3)
Ba2 0.5131 0.0332 0.4917 (multiplicity 3)
W1 0.2083 0.7720 0.7546 (multiplicity 3)
W2 0.4501 0.3853 0.2353 (multiplicity 3)
F1 0.0038 0.7897 0.1578 (multiplicity 3)
F2 0.0161 0.2358 0.3543 (multiplicity 3)
F3 0.0451 0.5327 0.4309 (multiplicity 3)
F4 0.0603 0.3421 0.0312 (multiplicity 3)
F5 0.1398 0.8037 0.8851 (multiplicity 3)
F6 0.1954 0.1824 0.1883 (multiplicity 3)
F7 0.2284 0.7102 0.6110 (multiplicity 3)
F8 0.2439 0.5667 0.7821 (multiplicity 3)
F9 0.3781 0.3108 0.3869 (multiplicity 3)
F10 0.4280 0.1306 0.9594 (multiplicity 3)
F11 0.6068 0.2845 0.1801 (multiplicity 3)

=====

11.
The following is a DFT calculation (PBE with a Hubbard U) of an optimized crystal structure of MgMn9CdO10.

Calculated values
Mass density = 4.661 g/cm³
Volume = 13.4 Å³ per atom
ΔE_f = -1.7434 eV per atom
Distance to the lowest polymorph of the same formula = 61.7 meV/atom
E = -7.10 eV per atom
Crystal system = triclinic

Lattice parameters (Å, degrees): 6.3121 6.3337 8.6231 72.77 71.64 61.00
Space group P1 (No. 1)
One atom of each set of equivalent atoms:
Mg1 0.0000 0.0000 0.0000 (multiplicity 1)
Mn1 0.0109 0.5523 0.7768 (multiplicity 1)
Mn2 0.0906 0.5532 0.4050 (multiplicity 1)
Mn3 0.1340 0.0297 0.3271 (multiplicity 1)
Mn4 0.4720 0.5062 0.9499 (multiplicity 1)
Mn5 0.4770 0.0344 0.0016 (multiplicity 1)
Mn6 0.5203 0.6000 0.5224 (multiplicity 1)
Mn7 0.6023 0.1129 0.3046 (multiplicity 1)
Mn8 0.8371 0.1213 0.6619 (multiplicity 1)
Mn9 0.8487 0.5393 0.1582 (multiplicity 1)
Cd1 0.3824 0.0645 0.6402 (multiplicity 1)
O1 0.1276 0.7722 0.5520 (multiplicity 1)
O2 0.2604 0.3465 0.1802 (multiplicity 1)
O3 0.3492 0.8737 0.9023 (multiplicity 1)
O4 0.4273 0.3402 0.7864 (multiplicity 1)
O5 0.5260 0.8316 0.2540 (multiplicity 1)
O6 0.7544 0.2957 0.3921 (multiplicity 1)
O7 0.8324 0.3614 0.9934 (multiplicity 1)
O8 0.8598 0.4616 0.6192 (multiplicity 1)
O9 0.8596 0.8685 0.8976 (multiplicity 1)
O10 0.9743 0.8710 0.2363 (multiplicity 1)